# Pr2Ge2Ru GGA-PBE optimized geometry
# Formation energy from the elements: -0.7120 eV per atom
# Total magnetization: 0.01 Bohr magnetons per cell
data_Pr2Ge2Ru
_chemical_formula_sum 'Pr8 Ge8 Ru4'
_symmetry_space_group_name_H-M 'C 1 2/m 1'
_symmetry_Int_Tables_number 12
_symmetry_space_group_name_Hall '-C 2y'
_cell_length_a 11.3429
_cell_length_b 4.4143
_cell_length_c 10.6497
_cell_angle_alpha 90.00
_cell_angle_beta 119.59
_cell_angle_gamma 90.00
loop_
_atom_site_label
_atom_site_type_symbol
_atom_site_fract_x
_atom_site_fract_y
_atom_site_fract_z
_atom_site_occupancy
Pr1 Pr 0.0005 0.0000 0.1734 1
Pr2 Pr 0.1840 0.0000 0.6080 1
Ge1 Ge 0.0016 0.5000 0.3720 1
Ge2 Ge 0.1556 0.5000 0.0684 1
Ru1 Ru 0.2284 0.5000 0.8798 1